*1*
16
Lattice="4.489 0.000 0.000 0.000 4.489 0.000 0.000 0.000 8.531" Properties=species:S:1:pos:R:3 comment="KMg6BO8, relaxed, DFT PBE-GGA" space_group="No. 123" rho_g_cm3=3.1 crystal_system=tetragonal pbc="T T T"
K 0.000 0.000 0.000
Mg 0.000 0.000 4.266
Mg 0.000 2.244 1.959
Mg 0.000 2.244 6.572
Mg 2.244 0.000 1.959
Mg 2.244 0.000 6.572
Mg 2.244 2.244 4.266
B 2.244 2.244 0.000
O 0.000 0.000 2.351
O 0.000 0.000 6.180
O 0.000 2.244 0.000
O 0.000 2.244 4.266
O 2.244 0.000 0.000
O 2.244 0.000 4.266
O 2.244 2.244 1.468
O 2.244 2.244 7.063

*2*
16
Lattice="4.666 0.000 0.000 0.000 4.666 0.000 0.000 0.000 7.935" Properties=species:S:1:pos:R:3 comment="KMg6BO8, relaxed, DFT PBE-GGA" space_group="No. 123" rho_g_cm3=3.1 crystal_system=tetragonal pbc="T T T"
K 0.000 0.000 0.000
Mg 0.000 2.333 2.035
Mg 0.000 2.333 5.899
Mg 2.333 0.000 2.035
Mg 2.333 0.000 5.899
Mg 2.333 2.333 0.000
Mg 2.333 2.333 3.967
B 0.000 0.000 3.967
O 0.000 0.000 2.608
O 0.000 0.000 5.327
O 0.000 2.333 0.000
O 0.000 2.333 3.967
O 2.333 0.000 0.000
O 2.333 0.000 3.967
O 2.333 2.333 1.983
O 2.333 2.333 5.951

What should be chosen as the least stable of them? Choose *1*.

*1*
31
Lattice="4.415 0.000 0.000 0.000 8.649 0.000 0.000 0.000 8.513" Properties=species:S:1:pos:R:3 comment="KMg14BO15, relaxed, DFT PBE-GGA" space_group="No. 25" rho_g_cm3=3.2 crystal_system=orthorhombic pbc="T T T"
K 0.000 0.000 0.000
Mg 0.000 0.000 4.255
Mg 0.000 2.088 2.187
Mg 0.000 2.099 6.316
Mg 0.000 4.324 8.502
Mg 0.000 6.550 6.316
Mg 0.000 6.561 2.187
Mg 2.208 0.000 2.138
Mg 2.208 0.000 6.375
Mg 2.208 2.178 0.006
Mg 2.208 2.183 4.253
Mg 2.208 4.324 2.216
Mg 2.208 4.324 6.251
Mg 2.208 6.471 0.006
Mg 2.208 6.466 4.253
B 0.000 4.324 4.112
O 0.000 0.000 2.336
O 0.000 0.000 6.176
O 0.000 2.195 4.255
O 0.000 2.421 0.020
O 0.000 4.324 2.692
O 0.000 6.228 0.020
O 0.000 6.454 4.255
O 2.208 0.000 4.263
O 2.208 0.000 8.494
O 2.208 2.193 2.135
O 2.208 2.221 6.380
O 2.208 4.324 0.054
O 2.208 4.324 4.243
O 2.208 6.428 6.380
O 2.208 6.456 2.135

*2*
31
Lattice="4.504 0.000 0.000 0.000 8.309 0.000 0.000 0.000 8.698" Properties=species:S:1:pos:R:3 comment="KMg14BO15, relaxed, DFT PBE-GGA" space_group="No. 25" rho_g_cm3=3.2 crystal_system=orthorhombic pbc="T T T"
K 0.000 0.000 0.000
Mg 0.000 0.000 4.508
Mg 0.000 2.022 2.349
Mg 0.000 2.213 6.555
Mg 0.000 4.155 4.433
Mg 0.000 6.097 6.555
Mg 0.000 6.287 2.349
Mg 2.252 0.000 2.295
Mg 2.252 0.000 6.616
Mg 2.252 2.080 4.455
Mg 2.252 2.175 0.142
Mg 2.252 4.155 2.269
Mg 2.252 4.155 6.726
Mg 2.252 6.134 0.142
Mg 2.252 6.229 4.455
B 0.000 4.155 0.661
O 0.000 0.000 2.462
O 0.000 2.115 4.406
O 0.000 2.765 0.210
O 0.000 4.155 2.155
O 0.000 4.155 6.404
O 0.000 5.544 0.210
O 0.000 6.194 4.406
O 2.252 0.000 0.161
O 2.252 0.000 4.469
O 2.252 2.075 2.283
O 2.252 2.105 6.681
O 2.252 4.155 0.219
O 2.252 4.155 4.354
O 2.252 6.204 6.681
O 2.252 6.234 2.283

What should be chosen as the least stable of them? Choose *1*.

*1*
31
Lattice="4.493 0.000 0.000 0.000 8.623 0.000 0.000 0.000 8.490" Properties=species:S:1:pos:R:3 comment="KMg14BO15, relaxed, DFT PBE-GGA" space_group="No. 25" rho_g_cm3=3.2 crystal_system=orthorhombic pbc="T T T"
K 0.000 0.000 0.000
Mg 0.000 0.000 3.840
Mg 0.000 2.090 6.111
Mg 0.000 2.402 1.835
Mg 0.000 4.312 8.137
Mg 0.000 6.221 1.835
Mg 0.000 6.534 6.111
Mg 2.247 0.000 1.894
Mg 2.247 0.000 6.050
Mg 2.247 2.164 8.155
Mg 2.247 2.324 3.950
Mg 2.247 4.312 1.812
Mg 2.247 4.312 6.060
Mg 2.247 6.299 3.950
Mg 2.247 6.459 8.155
B 0.000 4.312 4.467
O 0.000 0.000 5.808
O 0.000 2.350 8.117
O 0.000 2.907 4.007
O 0.000 4.312 1.622
O 0.000 4.312 5.924
O 0.000 5.716 4.007
O 0.000 6.273 8.117
O 2.247 0.000 3.944
O 2.247 0.000 8.147
O 2.247 2.155 6.021
O 2.247 2.181 1.843
O 2.247 4.312 4.013
O 2.247 4.312 8.101
O 2.247 6.442 1.843
O 2.247 6.468 6.021

*2*
31
Lattice="4.473 0.000 0.000 0.000 8.204 0.000 0.000 0.000 8.839" Properties=species:S:1:pos:R:3 comment="KMg14BO15, relaxed, DFT PBE-GGA" space_group="No. 25" rho_g_cm3=3.2 crystal_system=orthorhombic pbc="T T T"
K 0.000 0.000 0.000
Mg 0.000 0.000 4.397
Mg 0.000 2.049 6.525
Mg 0.000 2.112 2.277
Mg 0.000 4.102 4.335
Mg 0.000 6.092 2.277
Mg 0.000 6.155 6.525
Mg 2.236 0.000 2.195
Mg 2.236 0.000 6.574
Mg 2.236 2.060 4.403
Mg 2.236 2.133 8.751
Mg 2.236 4.102 2.026
Mg 2.236 4.102 6.620
Mg 2.236 6.071 8.751
Mg 2.236 6.144 4.403
B 0.000 4.102 8.178
O 0.000 0.000 2.395
O 0.000 0.000 6.408
O 0.000 2.089 4.434
O 0.000 2.719 8.630
O 0.000 4.102 2.359
O 0.000 5.485 8.630
O 0.000 6.115 4.434
O 2.236 0.000 4.376
O 2.236 0.000 8.742
O 2.236 2.054 6.585
O 2.236 2.057 2.113
O 2.236 4.102 4.474
O 2.236 4.102 8.690
O 2.236 6.147 2.113
O 2.236 6.150 6.585

What should be chosen as the least stable of them? Choose *1*.

*1*
32
Lattice="4.449 0.000 0.000 0.000 8.216 0.000 0.000 0.000 8.892" Properties=species:S:1:pos:R:3 comment="KMg14BO16, relaxed, DFT PBE-GGA" space_group="No. 47" rho_g_cm3=3.3 crystal_system=orthorhombic pbc="T T T"
K 0.000 0.000 0.000
Mg 0.000 0.000 4.446
Mg 0.000 2.090 2.360
Mg 0.000 2.090 6.532
Mg 0.000 4.108 4.446
Mg 0.000 6.126 2.360
Mg 0.000 6.126 6.532
Mg 2.225 0.000 2.241
Mg 2.225 0.000 6.651
Mg 2.225 2.058 4.446
Mg 2.225 2.127 0.000
Mg 2.225 4.108 2.197
Mg 2.225 4.108 6.695
Mg 2.225 6.089 0.000
Mg 2.225 6.157 4.446
B 0.000 4.108 0.000
O 0.000 0.000 2.422
O 0.000 0.000 6.470
O 0.000 2.063 4.446
O 0.000 2.737 0.000
O 0.000 4.108 2.382
O 0.000 4.108 6.510
O 0.000 5.479 0.000
O 0.000 6.153 4.446
O 2.225 0.000 0.000
O 2.225 0.000 4.446
O 2.225 2.053 2.178
O 2.225 2.053 6.713
O 2.225 4.108 0.000
O 2.225 4.108 4.446
O 2.225 6.162 2.178
O 2.225 6.162 6.713

*2*
32
Lattice="8.501 0.000 0.000 0.000 8.501 0.000 0.000 0.000 4.419" Properties=species:S:1:pos:R:3 comment="KMg14BO16, relaxed, DFT PBE-GGA" space_group="No. 123" rho_g_cm3=3.4 crystal_system=tetragonal pbc="T T T"
K 0.000 0.000 0.000
Mg 0.000 2.126 2.209
Mg 0.000 4.250 0.000
Mg 0.000 6.374 2.209
Mg 2.126 0.000 2.209
Mg 2.146 2.146 0.000
Mg 2.146 6.354 0.000
Mg 2.202 4.250 2.209
Mg 4.250 0.000 0.000
Mg 4.250 2.202 2.209
Mg 4.250 6.299 2.209
Mg 6.299 4.250 2.209
Mg 6.354 2.146 0.000
Mg 6.354 6.354 0.000
Mg 6.374 0.000 2.209
B 4.250 4.250 0.000
O 0.000 0.000 2.209
O 0.000 2.366 0.000
O 0.000 4.250 2.209
O 0.000 6.135 0.000
O 2.139 2.139 2.209
O 2.139 6.362 2.209
O 2.366 0.000 0.000
O 2.518 4.250 0.000
O 4.250 0.000 2.209
O 4.250 2.518 0.000
O 4.250 4.250 2.209
O 4.250 5.983 0.000
O 5.983 4.250 0.000
O 6.135 0.000 0.000
O 6.362 2.139 2.209
O 6.362 6.362 2.209

What should be chosen as the least stable of them? Choose *2*.

*1*
108
Lattice="9.429 0.000 0.000 0.000 6.734 0.000 -1.709 0.000 21.376" Properties=species:S:1:pos:R:3 comment="KB3O5, relaxed, DFT PBE-GGA" space_group="No. 14" rho_g_cm3=2.2 crystal_system=monoclinic pbc="T T T"
K 0.159 0.313 5.613
K -0.695 3.053 16.301
K 1.331 4.710 11.465
K 2.185 5.391 0.777
K 3.136 4.625 8.158
K 2.282 5.475 18.846
K 5.438 1.259 2.530
K 4.584 2.108 13.217
K 5.535 1.343 20.599
K 6.389 2.024 9.911
K 8.415 3.680 5.075
K 7.561 6.420 15.763
B 0.013 1.362 2.407
B -0.841 2.004 13.095
B -0.568 0.937 19.230
B 0.286 2.430 8.542
B 0.616 0.047 8.983
B -0.238 3.320 19.671
B 0.824 0.530 14.261
B 1.678 2.836 3.573
B 1.476 1.633 12.203
B 2.330 1.734 1.515
B 2.293 1.677 9.885
B 1.439 1.690 20.573
B 3.007 4.734 4.609
B 2.153 5.366 15.297
B 3.415 0.126 5.930
B 2.560 3.240 16.618
B 3.898 1.423 7.930
B 3.044 1.944 18.618
B 4.677 4.790 2.758
B 3.822 5.310 13.446
B 5.160 3.493 4.758
B 4.306 6.607 15.445
B 5.568 1.368 6.079
B 4.714 1.999 16.767
B 6.282 5.044 0.803
B 5.427 5.056 11.491
B 5.390 5.000 19.860
B 6.245 5.101 9.172
B 6.042 3.897 17.802
B 6.896 6.203 7.114
B 7.958 3.414 1.705
B 7.104 6.687 12.393
B 7.434 4.304 12.834
B 8.288 5.796 2.146
B 8.561 4.729 8.280
B 7.707 5.371 18.968
O -1.321 0.004 18.570
O -0.467 3.363 7.882
O -0.118 1.082 8.378
O -0.973 2.285 19.066
O -0.316 1.311 14.307
O 0.538 2.056 3.619
O -0.566 4.637 19.519
O 0.288 5.464 8.831
O 1.066 1.244 1.369
O 0.211 2.123 12.057
O 0.542 0.646 19.968
O 1.396 2.721 9.280
O 1.811 3.858 4.458
O 0.957 6.242 15.146
O 1.710 0.320 9.756
O 0.856 3.047 20.444
O 1.806 0.821 13.299
O 2.660 2.546 2.611
O 1.736 4.228 16.140
O 2.590 5.873 5.452
O 3.343 1.430 0.637
O 2.488 1.937 11.325
O 3.003 0.645 7.178
O 2.149 2.722 17.866
O 2.635 4.899 13.983
O 3.489 5.201 3.295
O 2.746 1.570 19.900
O 3.600 1.797 9.212
O 4.036 3.954 5.360
O 3.182 6.146 16.048
O 4.539 0.588 5.328
O 3.685 2.779 16.016
O 4.121 4.937 12.164
O 4.975 5.163 1.476
O 4.231 1.532 18.081
O 5.085 1.834 7.393
O 5.572 4.011 3.510
O 4.718 6.089 14.198
O 5.232 4.797 10.051
O 4.378 5.304 20.739
O 5.130 0.861 15.924
O 5.984 2.506 5.236
O 5.060 4.187 18.764
O 5.914 5.913 8.077
O 6.865 3.686 0.932
O 6.010 6.414 11.620
O 6.763 0.492 6.230
O 5.909 2.875 16.918
O 6.324 4.013 12.096
O 7.179 6.088 1.408
O 7.509 4.610 9.319
O 6.655 5.490 20.007
O 7.432 1.270 12.545
O 8.286 2.097 1.857
O 7.182 4.678 17.757
O 8.036 5.422 7.069
O 8.693 4.449 2.310
O 7.839 5.652 12.998
O 8.187 3.371 13.494
O 9.041 6.730 2.806

*2*
36
Lattice="4.851 -4.425 0.000 4.851 4.425 0.000 -2.247 0.000 8.912" Properties=species:S:1:pos:R:3 comment="KB3O5, relaxed, DFT PBE-GGA" space_group="No. 15" rho_g_cm3=2.6 crystal_system=monoclinic pbc="T T T"
K 2.837 2.992 4.979
K 3.494 2.992 8.389
K 3.961 -2.992 0.523
K 4.618 -2.992 3.933
B 2.757 2.280 1.623
B 1.125 0.013 6.776
B 2.248 -0.013 2.320
B 3.966 0.370 0.572
B 5.822 2.280 2.833
B 2.843 -0.370 5.028
B 4.612 0.370 3.884
B 1.634 -2.280 6.079
B 3.489 -0.370 8.340
B 5.207 0.013 6.592
B 6.331 -0.013 2.136
B 4.698 -2.280 7.289
O -0.080 0.781 7.085
O 1.849 1.411 2.197
O 3.794 1.789 0.843
O 1.044 -0.781 2.629
O 1.832 0.464 5.587
O 4.784 1.789 3.613
O 2.956 -0.464 1.131
O 2.041 0.121 8.014
O 0.725 -1.411 6.653
O 3.164 -0.121 3.558
O 4.291 0.121 5.354
O 6.730 1.411 2.259
O 5.414 -0.121 0.898
O 4.499 0.464 7.781
O 2.671 -1.789 5.299
O 5.623 -0.464 3.325
O 6.412 0.781 6.283
O 3.661 -1.789 8.069
O 5.607 -1.411 6.715
O 7.535 -0.781 1.827

What should be chosen as the least stable of them? Choose *2*.